! GGA+U Li2Co4O3F8, optimized geometry; values from VASP
! * energy: -75.61 eV/cell
! * E_form: -1.5004 eV per atom
&SYSTEM
  ibrav = 0, nat = 17, ntyp = 4
/
ATOMIC_SPECIES
Li 6.94 Li.upf
Co 58.93 Co.upf
O 16.00 O.upf
F 19.00 F.upf
CELL_PARAMETERS angstrom
5.0544 0.0000 0.0000
-0.7675 6.4935 0.0000
-1.6714 -2.4136 6.1793
ATOMIC_POSITIONS crystal
Li 0.1840 0.4052 0.1779
Li 0.8160 0.5948 0.8221
Co 0.2485 0.9694 0.4015
Co 0.3768 0.7721 0.8456
Co 0.6232 0.2279 0.1544
Co 0.7515 0.0306 0.5985
O 0.0000 0.0000 0.5000
O 0.4640 0.0438 0.7618
O 0.5360 0.9562 0.2382
F 0.1097 0.8072 0.9925
F 0.1990 0.6673 0.4457
F 0.2935 0.4992 0.8792
F 0.3505 0.2486 0.3052
F 0.6495 0.7514 0.6948
F 0.7065 0.5008 0.1208
F 0.8010 0.3327 0.5543
F 0.8903 0.1928 0.0075

! GGA+U Li4VP2O9, optimized geometry; values from VASP
! * energy: -424.87 eV/cell
! * E_form: -2.6264 eV per atom
&SYSTEM
  ibrav = 0, nat = 64, ntyp = 4
/
ATOMIC_SPECIES
Li 6.94 Li.upf
V 50.94 V.upf
P 30.97 P.upf
O 16.00 O.upf
CELL_PARAMETERS angstrom
6.8549 0.0000 0.0000
0.0000 13.7704 0.0000
0.0000 0.0000 10.2411
ATOMIC_POSITIONS crystal
Li 0.0952 0.0380 0.1937
Li 0.0952 0.4620 0.1937
Li 0.1626 0.0876 0.6040
Li 0.1626 0.4124 0.6040
Li 0.3374 0.5876 0.1040
Li 0.3374 0.9124 0.1040
Li 0.4048 0.5380 0.6937
Li 0.4048 0.9620 0.6937
Li 0.5952 0.0380 0.3063
Li 0.5952 0.4620 0.3063
Li 0.6626 0.0876 0.8960
Li 0.6626 0.4124 0.8960
Li 0.8374 0.5876 0.3960
Li 0.8374 0.9124 0.3960
Li 0.9048 0.5380 0.8063
Li 0.9048 0.9620 0.8063
V 0.0638 0.7500 0.2340
V 0.4362 0.2500 0.7340
V 0.5638 0.7500 0.2660
V 0.9362 0.2500 0.7660
P 0.2007 0.0834 0.8980
P 0.2007 0.4166 0.8980
P 0.2993 0.5834 0.3980
P 0.2993 0.9166 0.3980
P 0.7007 0.0834 0.6020
P 0.7007 0.4166 0.6020
P 0.7993 0.5834 0.1020
P 0.7993 0.9166 0.1020
O 0.0169 0.1508 0.8968
O 0.0169 0.3492 0.8968
O 0.1106 0.6448 0.3729
O 0.1106 0.8552 0.3729
O 0.1759 0.0094 0.7836
O 0.1759 0.4906 0.7836
O 0.1899 0.2500 0.6839
O 0.2222 0.0318 0.0294
O 0.2222 0.4682 0.0294
O 0.2778 0.5318 0.5294
O 0.2778 0.9682 0.5294
O 0.3101 0.7500 0.1839
O 0.3241 0.5094 0.2836
O 0.3241 0.9906 0.2836
O 0.3894 0.1448 0.8729
O 0.3894 0.3552 0.8729
O 0.4831 0.6508 0.3968
O 0.4831 0.8492 0.3968
O 0.5169 0.1508 0.6032
O 0.5169 0.3492 0.6032
O 0.6106 0.6448 0.1271
O 0.6106 0.8552 0.1271
O 0.6759 0.0094 0.7164
O 0.6759 0.4906 0.7164
O 0.6899 0.2500 0.8161
O 0.7222 0.0318 0.4706
O 0.7222 0.4682 0.4706
O 0.7778 0.5318 0.9706
O 0.7778 0.9682 0.9706
O 0.8101 0.7500 0.3161
O 0.8241 0.5094 0.2164
O 0.8241 0.9906 0.2164
O 0.8894 0.1448 0.6271
O 0.8894 0.3552 0.6271
O 0.9831 0.6508 0.1032
O 0.9831 0.8492 0.1032